(1)
The following is a PBE calculation of a relaxed Mg2Sb crystal, from the Materials Project.

Summary:
Electronic total energy ... -2.528 eV per atom
MP2020-corrected energy ... -2.592 eV per atom

a b c (Å): 9.213 5.784 5.434
angles (deg): 90.00 90.00 90.00
Space group Cmcm (No. 63)
One atom of each set of equivalent atoms:
Mg  0.162  0.186  0.250
Sb  0.000  0.295  0.750

(2)
The following is a PBE calculation of a relaxed Mg2Sb crystal, from the Materials Project.

Summary:
Electronic total energy ... -2.641 eV per atom
MP2020-corrected energy ... -2.705 eV per atom

a b c (Å): 4.035 5.963 12.397
angles (deg): 90.00 90.00 90.00
Space group Immm (No. 71)
One atom of each set of equivalent atoms:
Mg  0.000  0.000  0.175
Mg  0.000  0.248  0.500
Sb  0.000  0.500  0.149

(3)
The following is a PBE calculation of a relaxed MgSb crystal, from the Materials Project.

Summary:
Electronic total energy ... -3.052 eV per atom
MP2020-corrected energy ... -3.148 eV per atom

a b c (Å): 3.8391 3.8391 12.0549
angles (deg): 90.00 90.00 120.00
Space group R-3m (No. 166, hexagonal axes)
One atom of each set of equivalent atoms:
Mg  0.0000  0.0000  0.0000
Sb  0.0000  0.0000  0.5000

(4)
The following is a PBE calculation of a relaxed MgSb crystal, from the Materials Project.

Summary:
Electronic total energy ... -2.999 eV per atom
MP2020-corrected energy ... -3.095 eV per atom

a b c (Å): 5.952 5.952 5.952
angles (deg): 90.00 90.00 90.00
Space group Fm-3m (No. 225)
One atom of each set of equivalent atoms:
Mg  0.000  0.000  0.000
Sb  0.000  0.000  0.500

Q: Which of these has the lowest MP2020-corrected energy?
A: number 3

Q: Which of these has the lowest electronic total energy?
A: number 3

Q: What is the electronic total energy in the second record?
A: -2.641 eV per atom